[1]
# HoSiIr meta-GGA r2SCAN optimized geometry
# magnetic moment	0.000	μB/atom
# total DFT energy (no corrections)	-32.53	eV/atom
data_HoSiIr
_chemical_formula_sum 'Ho4 Si4 Ir4'
_space_group_name_H-M_alt 'P 1'
_space_group_IT_number 1
_space_group_name_Hall 'P 1'
_cell_length_a 4.212
_cell_length_b 6.820
_cell_length_c 7.378
_cell_angle_alpha 90.00
_cell_angle_beta 90.00
_cell_angle_gamma 90.00
loop_
_atom_site_label
_atom_site_fract_x
_atom_site_fract_y
_atom_site_fract_z
Ho1 0.750 0.500 0.187
Ho2 0.250 0.000 0.687
Ho3 0.750 0.000 0.313
Ho4 0.250 0.500 0.813
Si1 0.250 0.799 0.110
Si2 0.250 0.299 0.390
Si3 0.750 0.201 0.890
Si4 0.750 0.701 0.610
Ir1 0.250 0.656 0.433
Ir2 0.250 0.156 0.067
Ir3 0.750 0.844 0.933
Ir4 0.750 0.344 0.567

[2]
# NaLiCl2 meta-GGA r2SCAN optimized geometry
# magnetic moment	0.000	μB/atom
# total DFT energy (no corrections)	-6.56	eV/atom
data_NaLiCl2
_chemical_formula_sum 'Na16 Li16 Cl32'
_space_group_name_H-M_alt 'P 1'
_space_group_IT_number 1
_space_group_name_Hall 'P 1'
_cell_length_a 10.780
_cell_length_b 10.784
_cell_length_c 10.784
_cell_angle_alpha 90.00
_cell_angle_beta 90.00
_cell_angle_gamma 90.00
loop_
_atom_site_label
_atom_site_fract_x
_atom_site_fract_y
_atom_site_fract_z
Na1 0.000 0.000 0.000
Na2 0.000 0.000 0.500
Na3 0.000 0.500 0.000
Na4 0.000 0.500 0.500
Na5 0.500 0.000 0.000
Na6 0.500 0.000 0.500
Na7 0.500 0.500 0.000
Na8 0.500 0.500 0.500
Na9 0.000 0.250 0.250
Na10 0.000 0.250 0.750
Na11 0.000 0.750 0.250
Na12 0.000 0.750 0.750
Na13 0.500 0.250 0.250
Na14 0.500 0.250 0.750
Na15 0.500 0.750 0.250
Na16 0.500 0.750 0.750
Li1 0.250 0.000 0.250
Li2 0.250 0.000 0.750
Li3 0.250 0.500 0.250
Li4 0.250 0.500 0.750
Li5 0.750 0.000 0.250
Li6 0.750 0.000 0.750
Li7 0.750 0.500 0.250
Li8 0.750 0.500 0.750
Li9 0.250 0.250 0.000
Li10 0.250 0.250 0.500
Li11 0.250 0.750 0.000
Li12 0.250 0.750 0.500
Li13 0.750 0.250 0.000
Li14 0.750 0.250 0.500
Li15 0.750 0.750 0.000
Li16 0.750 0.750 0.500
Cl1 0.000 0.000 0.250
Cl2 0.000 0.000 0.750
Cl3 0.000 0.500 0.250
Cl4 0.000 0.500 0.750
Cl5 0.500 0.000 0.250
Cl6 0.500 0.000 0.750
Cl7 0.500 0.500 0.250
Cl8 0.500 0.500 0.750
Cl9 0.000 0.250 0.000
Cl10 0.000 0.250 0.500
Cl11 0.000 0.750 0.000
Cl12 0.000 0.750 0.500
Cl13 0.500 0.250 0.000
Cl14 0.500 0.250 0.500
Cl15 0.500 0.750 0.000
Cl16 0.500 0.750 0.500
Cl17 0.250 0.000 0.000
Cl18 0.250 0.000 0.500
Cl19 0.250 0.500 0.000
Cl20 0.250 0.500 0.500
Cl21 0.750 0.000 0.000
Cl22 0.750 0.000 0.500
Cl23 0.750 0.500 0.000
Cl24 0.750 0.500 0.500
Cl25 0.250 0.250 0.250
Cl26 0.250 0.250 0.750
Cl27 0.250 0.750 0.250
Cl28 0.250 0.750 0.750
Cl29 0.750 0.250 0.250
Cl30 0.750 0.250 0.750
Cl31 0.750 0.750 0.250
Cl32 0.750 0.750 0.750

[3]
# PrCo12B6 meta-GGA r2SCAN optimized geometry
# magnetic moment	0.488	μB/atom
# total DFT energy (no corrections)	-12.47	eV/atom
data_PrCo12B6
_chemical_formula_sum 'Pr1 Co12 B6'
_space_group_name_H-M_alt 'P 1'
_space_group_IT_number 1
_space_group_name_Hall 'P 1'
_cell_length_a 5.960
_cell_length_b 5.960
_cell_length_c 5.960
_cell_angle_alpha 104.10
_cell_angle_beta 104.10
_cell_angle_gamma 104.10
loop_
_atom_site_label
_atom_site_fract_x
_atom_site_fract_y
_atom_site_fract_z
Pr1 0.000 0.000 0.000
Co1 0.134 0.866 0.500
Co2 0.500 0.134 0.866
Co3 0.866 0.500 0.134
Co4 0.500 0.866 0.134
Co5 0.134 0.500 0.866
Co6 0.866 0.134 0.500
Co7 0.539 0.814 0.539
Co8 0.539 0.539 0.814
Co9 0.814 0.539 0.539
Co10 0.461 0.186 0.461
Co11 0.461 0.461 0.186
Co12 0.186 0.461 0.461
B1 0.770 0.328 0.770
B2 0.770 0.770 0.328
B3 0.328 0.770 0.770
B4 0.230 0.672 0.230
B5 0.230 0.230 0.672
B6 0.672 0.230 0.230

[4]
# AcCd3 meta-GGA r2SCAN optimized geometry
# magnetic moment	0.000	μB/atom
# total DFT energy (no corrections)	-32.54	eV/atom
data_AcCd3
_chemical_formula_sum 'Ac2 Cd6'
_space_group_name_H-M_alt 'P 1'
_space_group_IT_number 1
_space_group_name_Hall 'P 1'
_cell_length_a 7.252
_cell_length_b 7.204
_cell_length_c 4.979
_cell_angle_alpha 90.00
_cell_angle_beta 90.00
_cell_angle_gamma 119.93
loop_
_atom_site_label
_atom_site_fract_x
_atom_site_fract_y
_atom_site_fract_z
Ac1 0.336 0.669 0.750
Ac2 0.664 0.331 0.250
Cd1 0.145 0.293 0.250
Cd2 0.710 0.854 0.250
Cd3 0.144 0.852 0.250
Cd4 0.855 0.707 0.750
Cd5 0.290 0.146 0.750
Cd6 0.856 0.148 0.750

no.,calculated formation energy (eV/atom),calculated volume (Å³ per cell)
1,-1.1869,211.9
2,-1.9964,1253.6
3,-0.2477,188.5
4,-0.3016,225.4